# PBE+U K2Cr4CdO16, optimized geometry
# MP2020-corrected energy	-6.7072	eV per atom
# ΔE_f	-33.343	eV per formula unit
data_K2Cr4CdO16
_chemical_formula_sum 'K2 Cr4 Cd1 O16'
_cell_length_a 6.9025
_cell_length_b 7.6213
_cell_length_c 8.0657
_cell_angle_alpha 88.15
_cell_angle_beta 82.07
_cell_angle_gamma 68.13
_space_group_name_H-M_alt 'P -1'
_space_group_IT_number 2
_space_group_name_Hall '-P 1'
loop_
_atom_site_label
_atom_site_type_symbol
_atom_site_fract_x
_atom_site_fract_y
_atom_site_fract_z
K1 K 0.2197 0.2377 0.1668
Cr1 Cr 0.2082 0.0230 0.6747
Cr2 Cr 0.2411 0.7039 0.1477
Cd1 Cd 0.5000 0.5000 0.5000
O1 O 0.0593 0.9288 0.2367
O2 O 0.1374 0.6413 0.0030
O3 O 0.2162 0.1848 0.5334
O4 O 0.2238 0.4267 0.6549
O5 O 0.2885 0.5417 0.2957
O6 O 0.3011 0.8128 0.5849
O7 O 0.3428 0.0316 0.8206
O8 O 0.4572 0.7296 0.0707